No. 1
First-principles (PBE) data for crystalline Nb2Zn2BiO8 at its relaxed geometry, as listed in Materials Project.

abc: 10.822 10.822 5.453
angles: 88.22 88.22 32.17
Element x y z (fractional)
Nb 0.036 0.716 0.227
Nb 0.284 0.964 0.273
Nb 0.964 0.284 0.773
Nb 0.716 0.036 0.727
Zn 0.878 0.563 0.273
Zn 0.437 0.122 0.227
Zn 0.122 0.437 0.727
Zn 0.563 0.878 0.773
Bi 0.691 0.309 0.250
Bi 0.309 0.691 0.750
O 0.014 0.835 0.537
O 0.165 0.986 0.963
O 0.986 0.165 0.463
O 0.835 0.014 0.037
O 0.321 0.554 0.116
O 0.446 0.679 0.384
O 0.679 0.446 0.884
O 0.554 0.321 0.616
O 0.931 0.712 0.924
O 0.288 0.069 0.576
O 0.446 0.156 0.861
O 0.844 0.554 0.639
O 0.554 0.844 0.139
O 0.156 0.446 0.361
O 0.712 0.931 0.424
O 0.069 0.288 0.076

Results
**Symmetry**: C2/c
**Magnetization**: 1.01 μB/f.u.
**Electronic total energy**: -181.72 eV for the cell shown
**Theoretical density**: 6.39 g cm⁻³
**ΔH_f (0 K)**: -30.16 eV per formula unit



No. 2
First-principles (PBE) data for crystalline Nb3Zn2Bi3O14 at its relaxed geometry, as listed in Materials Project.

abc: 10.668 10.668 10.668
angles: 90.00 90.00 90.00
Element x y z (fractional)
Nb 0.125 0.874 0.124
Nb 0.375 0.126 0.624
Nb 0.875 0.374 0.376
Nb 0.124 0.125 0.874
Nb 0.624 0.375 0.126
Nb 0.625 0.626 0.876
Nb 0.876 0.625 0.626
Nb 0.376 0.875 0.374
Nb 0.874 0.124 0.125
Nb 0.374 0.376 0.875
Nb 0.626 0.876 0.625
Nb 0.126 0.624 0.375
Zn 0.875 0.875 0.875
Zn 0.625 0.125 0.375
Zn 0.125 0.375 0.625
Zn 0.375 0.625 0.125
Zn 0.375 0.375 0.375
Zn 0.125 0.625 0.875
Zn 0.625 0.875 0.125
Zn 0.875 0.125 0.625
Bi 0.125 0.154 0.404
Bi 0.375 0.846 0.904
Bi 0.875 0.654 0.096
Bi 0.404 0.125 0.154
Bi 0.904 0.375 0.846
Bi 0.625 0.346 0.596
Bi 0.596 0.625 0.346
Bi 0.096 0.875 0.654
Bi 0.154 0.404 0.125
Bi 0.654 0.096 0.875
Bi 0.346 0.596 0.625
Bi 0.846 0.904 0.375
O 0.004 0.298 0.490
O 0.496 0.702 0.990
O 0.996 0.798 0.010
O 0.490 0.004 0.298
O 0.048 0.254 0.760
O 0.504 0.202 0.510
O 0.990 0.496 0.702
O 0.452 0.746 0.260
O 0.010 0.996 0.798
O 0.548 0.246 0.240
O 0.510 0.504 0.202
O 0.952 0.754 0.740
O 0.298 0.490 0.004
O 0.754 0.740 0.952
O 0.798 0.010 0.996
O 0.746 0.260 0.452
O 0.202 0.510 0.504
O 0.254 0.760 0.048
O 0.702 0.990 0.496
O 0.246 0.240 0.548
O 0.760 0.048 0.254
O 0.260 0.452 0.746
O 0.740 0.952 0.754
O 0.240 0.548 0.246
O 0.271 0.271 0.271
O 0.229 0.729 0.771
O 0.729 0.771 0.229
O 0.021 0.521 0.979
O 0.771 0.229 0.729
O 0.479 0.479 0.479
O 0.521 0.979 0.021
O 0.979 0.021 0.521
O 0.999 0.000 0.190
O 0.501 0.000 0.690
O 0.001 0.500 0.310
O 0.190 0.999 0.000
O 0.750 0.249 0.060
O 0.499 0.500 0.810
O 0.690 0.501 0.000
O 0.750 0.751 0.560
O 0.310 0.001 0.500
O 0.250 0.251 0.940
O 0.810 0.499 0.500
O 0.250 0.749 0.440
O 0.000 0.190 0.999
O 0.749 0.440 0.250
O 0.500 0.310 0.001
O 0.751 0.560 0.750
O 0.500 0.810 0.499
O 0.249 0.060 0.750
O 0.000 0.690 0.501
O 0.251 0.940 0.250
O 0.060 0.750 0.249
O 0.560 0.750 0.751
O 0.440 0.250 0.749
O 0.940 0.250 0.251

Results
**Symmetry**: P4_132
**Magnetization**: 0.00 μB/f.u.
**Electronic total energy**: -623.13 eV for the cell shown
**Theoretical density**: 6.90 g cm⁻³
**ΔH_f (0 K)**: -51.64 eV per formula unit



No. 3
First-principles (PBE) data for crystalline Nb3Bi2S6 at its relaxed geometry, as listed in Materials Project.

abc: 5.796 5.796 17.516
angles: 90.00 90.00 120.00
Element x y z (fractional)
Nb 0.674 0.000 0.750
Nb 0.674 0.674 0.250
Nb 0.000 0.326 0.250
Nb 0.000 0.674 0.750
Nb 0.326 0.000 0.250
Nb 0.326 0.326 0.750
Bi 0.333 0.667 0.000
Bi 0.667 0.333 0.500
Bi 0.333 0.667 0.500
Bi 0.667 0.333 0.000
S 0.333 0.667 0.662
S 0.667 0.333 0.162
S 0.667 0.333 0.838
S 0.333 0.667 0.338
S 0.333 0.667 0.162
S 0.667 0.333 0.662
S 0.667 0.333 0.338
S 0.333 0.667 0.838
S 0.000 0.000 0.158
S 0.000 0.000 0.658
S 0.000 0.000 0.842
S 0.000 0.000 0.342

Results
**Symmetry**: P6_3/mcm
**Electronic total energy**: -145.62 eV for the cell shown
**Theoretical density**: 5.79 g cm⁻³
**ΔH_f (0 K)**: -12.92 eV per formula unit



No. 4
First-principles (PBE) data for crystalline Nb6BiS8 at its relaxed geometry, as listed in Materials Project.

abc: 9.702 9.702 3.380
angles: 90.00 90.00 120.00
Element x y z (fractional)
Nb 0.116 0.628 0.251
Nb 0.512 0.884 0.251
Nb 0.372 0.488 0.251
Nb 0.884 0.372 0.749
Nb 0.488 0.116 0.749
Nb 0.628 0.512 0.749
Bi 0.000 0.000 0.500
S 0.667 0.333 0.250
S 0.333 0.667 0.750
S 0.287 0.947 0.250
S 0.660 0.713 0.250
S 0.053 0.340 0.250
S 0.713 0.053 0.750
S 0.340 0.287 0.750
S 0.947 0.660 0.750

Results
**Symmetry**: P-3
**Magnetization**: 0.08 μB/f.u.
**Electronic total energy**: -111.66 eV for the cell shown
**Theoretical density**: 6.17 g cm⁻³
**ΔH_f (0 K)**: -18.09 eV per formula unit



No. 5
First-principles (PBE) data for crystalline Nb6BiTe8 at its relaxed geometry, as listed in Materials Project.

abc: 10.815 10.815 3.627
angles: 90.00 90.00 120.00
Element x y z (fractional)
Nb 0.615 0.513 0.250
Nb 0.898 0.385 0.250
Nb 0.487 0.102 0.250
Nb 0.385 0.487 0.750
Nb 0.102 0.615 0.750
Nb 0.513 0.898 0.750
Bi 0.000 0.000 0.500
Te 0.934 0.665 0.253
Te 0.731 0.066 0.253
Te 0.335 0.269 0.253
Te 0.066 0.335 0.747
Te 0.269 0.934 0.747
Te 0.665 0.731 0.747
Te 0.333 0.667 0.251
Te 0.667 0.333 0.749

Results
**Symmetry**: P-3
**Magnetization**: 0.01 μB/f.u.
**Electronic total energy**: -95.03 eV for the cell shown
**Theoretical density**: 8.08 g cm⁻³
**ΔH_f (0 K)**: -8.76 eV per formula unit



No. 6
First-principles (PBE) data for crystalline NdBi at its relaxed geometry, as listed in Materials Project.

abc: 4.610 4.610 4.610
angles: 60.00 60.00 60.00
Element x y z (fractional)
Nd 0.500 0.500 0.500
Bi 0.000 0.000 0.000

Results
**Symmetry**: Fm-3m
**Electronic total energy**: -10.54 eV for the cell shown
**Theoretical density**: 8.47 g cm⁻³
**ΔH_f (0 K)**: -1.88 eV per formula unit